# PBE Tb3GaCoS7, relaxed
data_Tb3GaCoS7
_symmetry_space_group_name_H-M 'P 1'
_symmetry_Int_Tables_number 1
_cell_length_a 9.5891
_cell_length_b 9.5891
_cell_length_c 6.1225
_cell_angle_alpha 90.00
_cell_angle_beta 90.00
_cell_angle_gamma 120.00
loop_
_symmetry_equiv_pos_as_xyz
'x,y,z'
loop_
_atom_site_label
_atom_site_fract_x
_atom_site_fract_y
_atom_site_fract_z
Tb1 0.1537 0.3732 0.8208
Tb2 0.2195 0.8463 0.8208
Tb3 0.6268 0.7805 0.8208
Tb4 0.8463 0.6268 0.3208
Tb5 0.7805 0.1537 0.3208
Tb6 0.3732 0.2195 0.3208
Ga1 0.6667 0.3333 0.8936
Ga2 0.3333 0.6667 0.3936
Co1 0.0000 0.0000 0.4930
Co2 0.0000 0.0000 0.9930
S1 0.8714 0.0947 0.7356
S2 0.2232 0.1286 0.7356
S3 0.9053 0.7768 0.7356
S4 0.1286 0.9053 0.2356
S5 0.7768 0.8714 0.2356
S6 0.0947 0.2232 0.2356
S7 0.4324 0.5186 0.5502
S8 0.0862 0.5676 0.5502
S9 0.4814 0.9138 0.5502
S10 0.5676 0.4814 0.0502
S11 0.9138 0.4324 0.0502
S12 0.5186 0.0862 0.0502
S13 0.6667 0.3333 0.5263
S14 0.3333 0.6667 0.0263
# Calculated total energy in Ry/atom: -0.4324
# Magnetic moment in μB per formula unit: 1.00
# Symmetry: P6_3, No. 173